(1)
FeP3O9, relaxed, DFT PBE+U; SG = No. 56; crystal system = orthorhombic; distance to the lowest polymorph of the same formula = 161 meV per atom; calculated formation energy = -2.318 eV per atom
1.0
6.3703 0.0000 0.0000
0.0000 9.9515 0.0000
0.0000 0.0000 10.9960
O P Fe
36 12 4
direct
0.7573 0.5822 0.0973
0.2427 0.9178 0.5973
0.4079 0.6853 0.3099
0.7427 0.5822 0.4027
0.3859 0.1837 0.5371
0.4079 0.1853 0.1901
0.2573 0.9178 0.9027
0.9079 0.8147 0.6901
0.1501 0.9969 0.1534
0.2573 0.4178 0.5973
0.6501 0.5031 0.8466
0.6141 0.3163 0.0371
0.7573 0.0822 0.4027
0.1141 0.6837 0.5371
0.8499 0.0031 0.8466
0.8859 0.8163 0.0371
0.8499 0.5031 0.6534
0.2500 0.7205 0.7500
0.1141 0.1837 0.9629
0.5921 0.8147 0.8099
0.1501 0.4969 0.3466
0.8859 0.3163 0.4629
0.6141 0.8163 0.4629
0.0921 0.1853 0.3099
0.2427 0.4178 0.9027
0.7500 0.2795 0.2500
0.7427 0.0822 0.0973
0.9079 0.3147 0.8099
0.3499 0.4969 0.1534
0.3499 0.9969 0.3466
0.2500 0.2205 0.7500
0.3859 0.6837 0.9629
0.6501 0.0031 0.6534
0.5921 0.3147 0.6901
0.7500 0.7795 0.2500
0.0921 0.6853 0.1901
0.6372 0.2106 0.1339
0.3628 0.7894 0.8661
0.1372 0.2894 0.8661
0.7500 0.4187 0.7500
0.1372 0.7894 0.6339
0.3628 0.2894 0.6339
0.2500 0.0813 0.2500
0.2500 0.5813 0.2500
0.7500 0.9187 0.7500
0.6372 0.7106 0.3661
0.8628 0.7106 0.1339
0.8628 0.2106 0.3661
0.0000 0.5000 0.5000
0.0000 0.0000 0.0000
0.5000 0.5000 0.0000
0.5000 0.0000 0.5000

---

(2)
RbMnCl3O2, relaxed, DFT PBE+U; SG = No. 54; crystal system = orthorhombic; distance to the lowest polymorph of the same formula = 0 meV per atom; calculated formation energy = -1.094 eV per atom
1.0
7.0503 0.0000 0.0000
0.0000 9.2917 0.0000
0.0000 0.0000 11.1348
O Mn Rb Cl
8 4 4 12
direct
0.2792 0.5294 0.8032
0.7208 0.5294 0.3032
0.2792 0.0294 0.1968
0.2792 0.4706 0.6968
0.7208 0.0294 0.6968
0.7208 0.4706 0.1968
0.2792 0.9706 0.3032
0.7208 0.9706 0.8032
0.5587 0.5000 0.7500
0.4413 0.5000 0.2500
0.4413 0.0000 0.7500
0.5587 0.0000 0.2500
0.0000 0.2500 0.8640
0.0000 0.7500 0.1360
0.0000 0.2500 0.3640
0.0000 0.7500 0.6360
0.7724 0.4214 0.6072
0.7724 0.0786 0.1072
0.5000 0.2500 0.8480
0.2276 0.0786 0.6072
0.7724 0.5786 0.8928
0.2276 0.9214 0.8928
0.2276 0.4214 0.1072
0.5000 0.7500 0.1520
0.7724 0.9214 0.3928
0.5000 0.2500 0.3480
0.2276 0.5786 0.3928
0.5000 0.7500 0.6520

---

(3)
Mn13Cu11O32, relaxed, DFT PBE+U; SG = No. 12; crystal system = monoclinic; calculated formation energy = -1.528 eV per atom
1.0
2.9590 5.2571 0.0000
-2.9590 5.2571 0.0000
0.0000 2.5464 19.5169
O Mn Cu
32 13 11
direct
0.7784 0.3186 0.5691
0.7246 0.1853 0.9340
0.6812 0.6812 0.4316
0.2216 0.6814 0.4309
0.5644 0.0231 0.8166
0.9345 0.9345 0.1798
0.0231 0.5644 0.8166
0.6814 0.2216 0.4309
0.5685 0.5685 0.8191
0.9769 0.4356 0.1834
0.3154 0.3154 0.0694
0.6846 0.6846 0.9306
0.1817 0.1817 0.4321
0.0715 0.5231 0.3174
0.4769 0.9285 0.6826
0.1804 0.1804 0.9326
0.8147 0.2754 0.0660
0.0655 0.0655 0.8202
0.5675 0.5675 0.3193
0.2754 0.8147 0.0660
0.3188 0.3188 0.5684
0.9302 0.9302 0.6816
0.9285 0.4769 0.6826
0.4356 0.9769 0.1834
0.8196 0.8196 0.0674
0.0698 0.0698 0.3184
0.3186 0.7784 0.5691
0.4325 0.4325 0.6807
0.5231 0.0715 0.3174
0.4315 0.4315 0.1809
0.8183 0.8183 0.5679
0.1853 0.7246 0.9340
0.0000 0.0000 0.0000
0.3751 0.3751 0.3757
0.3746 0.8740 0.8756
0.8740 0.3746 0.8756
0.2491 0.2491 0.2494
0.6249 0.6249 0.6243
0.1260 0.6254 0.1244
0.6254 0.1260 0.1244
0.3745 0.8741 0.3757
0.7509 0.7509 0.7506
0.8741 0.3745 0.3757
0.1259 0.6255 0.6243
0.6255 0.1259 0.6243
0.1512 0.1512 0.5336
0.8488 0.8488 0.4664
0.6506 0.6506 0.0326
0.6009 0.6009 0.2167
0.5000 0.5000 0.5000
0.8750 0.8750 0.8757
0.9029 0.9029 0.2809
0.0971 0.0971 0.7191
0.1250 0.1250 0.1243
0.3991 0.3991 0.7833
0.3494 0.3494 0.9674

---

(4)
MgMnV4O12, relaxed, DFT PBE+U; SG = No. 1; crystal system = triclinic; distance to the lowest polymorph of the same formula = 54 meV per atom; calculated formation energy = -2.306 eV per atom
1.0
5.4741 -0.0060 0.0288
6.1542 8.8693 -0.1690
6.1810 5.9374 4.0103
O V Mg Mn
12 4 1 1
direct
0.6996 0.8917 0.3430
0.1201 0.3044 0.7307
0.2162 0.6543 0.5934
0.6053 0.6927 0.8540
0.1187 0.8247 0.7103
0.7344 0.3775 0.3544
0.5886 0.1711 0.8785
0.3495 0.2851 0.1219
0.2232 0.1032 0.6266
0.3436 0.8236 0.1030
0.8265 0.6994 0.2231
0.8913 0.1605 0.2451
0.4977 0.5150 0.4806
0.9897 0.4810 0.0106
0.5171 0.9725 0.5274
0.0289 0.0221 0.9674
0.7896 0.0093 0.7768
0.3066 0.9998 0.2972

---

(5)
Mn3BPO10, relaxed, DFT PBE+U; SG = No. 62; crystal system = orthorhombic; distance to the lowest polymorph of the same formula = 219 meV per atom; calculated formation energy = -1.702 eV per atom
1.0
-4.1809 -0.2859 4.9513
8.4242 10.9724 7.7471
-4.4399 5.8187 -3.4131
O Mn P B
40 12 4 4
direct
0.7500 0.8948 0.7618
0.7500 0.4158 0.0940
0.0819 0.2597 0.1567
0.5819 0.2403 0.6567
0.2500 0.6166 0.5870
0.9512 0.5047 0.2909
0.2500 0.2591 0.2858
0.7500 0.1420 0.0327
0.7500 0.3834 0.4130
0.7500 0.2409 0.7858
0.5819 0.7403 0.8433
0.5488 0.0047 0.2091
0.2500 0.8580 0.9673
0.2500 0.3580 0.5327
0.2500 0.8825 0.4929
0.0488 0.4953 0.7091
0.7500 0.7409 0.7142
0.2500 0.0842 0.5940
0.9181 0.7403 0.8433
0.4181 0.2597 0.1567
0.2500 0.3825 0.0071
0.4512 0.4953 0.7091
0.9181 0.2403 0.6567
0.2500 0.7591 0.2142
0.7500 0.3948 0.7382
0.2500 0.1052 0.2382
0.2500 0.6052 0.2618
0.7500 0.9158 0.4060
0.5488 0.5047 0.2909
0.4181 0.7597 0.3433
0.7500 0.6420 0.4673
0.2500 0.5842 0.9060
0.7500 0.1175 0.5071
0.7500 0.8834 0.0870
0.0488 0.9953 0.7909
0.9512 0.0047 0.2091
0.4512 0.9953 0.7909
0.7500 0.6175 0.9929
0.0819 0.7597 0.3433
0.2500 0.1166 0.9130
0.2500 0.5023 0.1133
0.5078 0.3830 0.6142
0.4922 0.1170 0.1142
0.0078 0.1170 0.1142
0.7500 0.9977 0.6133
0.2500 0.0023 0.3867
0.9922 0.8830 0.8858
0.5078 0.8830 0.8858
0.0078 0.6170 0.3858
0.9922 0.3830 0.6142
0.7500 0.4977 0.8867
0.4922 0.6170 0.3858
0.7500 0.9498 0.2297
0.2500 0.0502 0.7703
0.7500 0.4498 0.2703
0.2500 0.5502 0.7297
0.7500 0.1895 0.5804
0.7500 0.6895 0.9196
0.2500 0.8105 0.4196
0.2500 0.3105 0.0804

---

(6)
MgMn6O4F8, relaxed, DFT PBE+U; SG = No. 1; crystal system = triclinic; distance to the lowest polymorph of the same formula = 45 meV per atom; calculated formation energy = -2.578 eV per atom
1.0
2.9659 4.3317 0.9305
5.7835 -3.0583 -4.6936
-2.4105 2.9247 -4.5902
F O Mn Mg
8 4 6 1
direct
0.2397 0.2233 0.0789
0.3029 0.8982 0.2550
0.7520 0.1454 0.8273
0.2740 0.8734 0.7938
0.2195 0.5158 0.7818
0.1661 0.5458 0.2653
0.7872 0.4454 0.5323
0.8305 0.1100 0.3242
0.8130 0.7863 0.0162
0.6559 0.4950 0.0067
0.3451 0.1914 0.6025
0.7464 0.7700 0.5359
0.1020 0.2938 0.4082
0.3854 0.7020 0.0272
0.8398 0.6320 0.7694
0.0045 0.0096 0.0170
0.4835 0.3214 0.8328
0.5357 0.9768 0.5282
0.8223 0.6228 0.2719

---

(7)
Li5Fe8B8O24, relaxed, DFT PBE+U; SG = No. 1; crystal system = triclinic; distance to the lowest polymorph of the same formula = 8 meV per atom; calculated formation energy = -2.283 eV per atom
1.0
-5.2352 0.0000 0.0000
-0.1000 -9.1163 0.0000
2.5400 4.3096 10.1813
O Fe B Li
24 8 8 5
direct
0.5323 0.5955 0.8777
0.9184 0.5814 0.4254
0.7540 0.3446 0.6853
0.8828 0.2779 0.1648
0.4100 0.0837 0.4159
0.4649 0.3817 0.1131
0.6093 0.2262 0.8471
0.0802 0.1711 0.6075
0.0190 0.1017 0.8628
0.3944 0.3142 0.3597
0.0564 0.4225 0.5857
0.5858 0.9369 0.6000
0.8571 0.4786 0.0758
0.3487 0.0122 0.0933
0.6218 0.6840 0.6171
0.9136 0.8270 0.3916
0.2388 0.8279 0.6614
0.9801 0.9216 0.1453
0.7568 0.1518 0.3326
0.1543 0.4918 0.9137
0.6540 0.0197 0.9301
0.1174 0.6987 0.8279
0.3813 0.7970 0.1700
0.2691 0.6597 0.3480
0.4696 0.1612 0.6266
0.7733 0.4443 0.8800
0.2454 0.5766 0.1348
0.0255 0.3481 0.3810
0.9871 0.6456 0.6349
0.7289 0.0600 0.1239
0.2589 0.9301 0.8800
0.5338 0.8533 0.3793
0.7648 0.1140 0.8798
0.5191 0.1841 0.3713
0.0316 0.6906 0.3867
0.4847 0.8164 0.6276
0.9660 0.3126 0.6284
0.2345 0.9065 0.1362
0.2724 0.5957 0.8728
0.7309 0.3830 0.1183
0.9772 0.9979 0.6516
0.2627 0.2496 0.1631
0.5295 0.5398 0.4187
0.2907 0.2822 0.9142
0.0278 0.0269 0.3944

---

(8)
BaTlVO4, relaxed, DFT PBE+U; SG = No. 62; crystal system = orthorhombic; calculated formation energy = -2.520 eV per atom
1.0
6.0138 0.0000 0.0000
0.0000 8.0222 0.0000
0.0000 0.0000 10.6314
Tl O V Ba
4 16 4 4
direct
0.2500 0.3286 0.9274
0.2500 0.8286 0.5726
0.7500 0.6714 0.0726
0.7500 0.1714 0.4274
0.7500 0.5056 0.4268
0.4928 0.7123 0.8438
0.9928 0.2877 0.1562
0.2500 0.9944 0.9268
0.7500 0.0056 0.0732
0.0072 0.7123 0.8438
0.5072 0.2877 0.1562
0.2500 0.7050 0.0755
0.5072 0.7877 0.3438
0.0072 0.2123 0.6562
0.4928 0.2123 0.6562
0.2500 0.2050 0.4245
0.7500 0.2950 0.9245
0.2500 0.4944 0.5732
0.9928 0.7877 0.3438
0.7500 0.7950 0.5755
0.2500 0.7778 0.9197
0.2500 0.2778 0.5803
0.7500 0.2222 0.0803
0.7500 0.7222 0.4197
0.7500 0.4959 0.7022
0.2500 0.0041 0.2022
0.2500 0.5041 0.2978
0.7500 0.9959 0.7978

---

(9)
VGe2O6, relaxed, DFT PBE+U; SG = No. 14; crystal system = monoclinic; distance to the lowest polymorph of the same formula = 4 meV per atom; calculated formation energy = -2.160 eV per atom
1.0
8.8839 0.0000 0.0000
0.0000 5.4848 0.0000
0.0000 2.1701 9.4246
O Ge V
24 8 4
direct
0.2966 0.4911 0.6156
0.9808 0.6321 0.6109
0.4838 0.2156 0.1181
0.8235 0.1987 0.6409
0.4808 0.8679 0.3891
0.7966 0.0089 0.3844
0.8177 0.7289 0.8598
0.5162 0.7844 0.8819
0.3235 0.3013 0.3591
0.5192 0.1321 0.6109
0.1765 0.8013 0.3591
0.2055 0.6495 0.8830
0.2945 0.1495 0.8830
0.7034 0.5089 0.3844
0.7945 0.3505 0.1170
0.0192 0.3679 0.3891
0.1823 0.2711 0.1402
0.3177 0.7711 0.1402
0.6765 0.6987 0.6409
0.7055 0.8505 0.1170
0.6823 0.2289 0.8598
0.9838 0.2844 0.8819
0.2034 0.9911 0.6156
0.0162 0.7156 0.1181
0.1617 0.3318 0.9492
0.3362 0.2270 0.5475
0.1638 0.7270 0.5475
0.6617 0.1682 0.0508
0.3383 0.8318 0.9492
0.8362 0.2730 0.4525
0.6638 0.7730 0.4525
0.8383 0.6682 0.0508
0.1473 0.5220 0.2519
0.8527 0.4780 0.7481
0.3527 0.0220 0.2519
0.6473 0.9780 0.7481

---

(10)
LiMn3B3O9, relaxed, DFT PBE+U; SG = No. 1; crystal system = triclinic; distance to the lowest polymorph of the same formula = 12 meV per atom; calculated formation energy = -2.393 eV per atom
1.0
5.9258 0.0000 0.0000
-1.2936 7.8782 0.0000
-2.7338 -3.5013 7.9491
O Mn Li B
18 6 2 6
direct
0.7623 0.0346 0.9897
0.1046 0.3844 0.6487
0.0151 0.6482 0.9847
0.5663 0.3051 0.6878
0.5572 0.4222 0.1065
0.4154 0.6970 0.3051
0.9554 0.3263 0.9930
0.0900 0.2686 0.2406
0.9159 0.6133 0.3557
0.2112 0.0916 0.4486
0.2531 0.9425 0.0214
0.8878 0.7659 0.7744
0.3753 0.0088 0.6781
0.4516 0.5909 0.8980
0.7513 0.9131 0.5560
0.6561 0.9732 0.3073
0.3371 0.6643 0.6534
0.6818 0.3227 0.3334
0.6487 0.9043 0.7432
0.0474 0.7960 0.6004
0.9443 0.2123 0.4192
0.6936 0.4408 0.9262
0.2816 0.5386 0.0606
0.3557 0.1174 0.2659
0.5656 0.8857 0.0566
0.2307 0.5546 0.3890
0.2967 0.5407 0.7251
0.9332 0.2055 0.0732
0.7224 0.4598 0.2725
0.3876 0.1404 0.6098
0.0538 0.7932 0.9326
0.6078 0.8572 0.3867

---

Copy entry 9 word for word.
VGe2O6, relaxed, DFT PBE+U; SG = No. 14; crystal system = monoclinic; distance to the lowest polymorph of the same formula = 4 meV per atom; calculated formation energy = -2.160 eV per atom
1.0
8.8839 0.0000 0.0000
0.0000 5.4848 0.0000
0.0000 2.1701 9.4246
O Ge V
24 8 4
direct
0.2966 0.4911 0.6156
0.9808 0.6321 0.6109
0.4838 0.2156 0.1181
0.8235 0.1987 0.6409
0.4808 0.8679 0.3891
0.7966 0.0089 0.3844
0.8177 0.7289 0.8598
0.5162 0.7844 0.8819
0.3235 0.3013 0.3591
0.5192 0.1321 0.6109
0.1765 0.8013 0.3591
0.2055 0.6495 0.8830
0.2945 0.1495 0.8830
0.7034 0.5089 0.3844
0.7945 0.3505 0.1170
0.0192 0.3679 0.3891
0.1823 0.2711 0.1402
0.3177 0.7711 0.1402
0.6765 0.6987 0.6409
0.7055 0.8505 0.1170
0.6823 0.2289 0.8598
0.9838 0.2844 0.8819
0.2034 0.9911 0.6156
0.0162 0.7156 0.1181
0.1617 0.3318 0.9492
0.3362 0.2270 0.5475
0.1638 0.7270 0.5475
0.6617 0.1682 0.0508
0.3383 0.8318 0.9492
0.8362 0.2730 0.4525
0.6638 0.7730 0.4525
0.8383 0.6682 0.0508
0.1473 0.5220 0.2519
0.8527 0.4780 0.7481
0.3527 0.0220 0.2519
0.6473 0.9780 0.7481